DFT (PBE+U) results for a geometry-optimized Li2WO12 structure.

Output
Spin magnetization: 20.00 μB/cell
Excess energy over the best structure of this formula in the dataset: 0 meV per atom
Final energy: -324.13 eV per cell
DFT formation energy: -72 kJ/mol of atoms

extended XYZ file:
```
60
Lattice="-5.318 -8.395 4.700 4.572 -4.248 -2.414 10.581 -0.981 10.220" Properties=species:S:1:pos:R:3 pbc="T T T"
Li 4.270 -8.941 4.072
Li 7.875 -12.091 10.671
Li 5.566 -4.683 8.434
Li 1.960 -1.533 1.835
Li 1.096 -8.766 1.764
Li 5.103 -11.283 8.009
Li 8.739 -4.858 10.742
Li 4.732 -2.341 4.497
W 1.851 -7.291 4.380
W 5.497 -10.378 10.943
W 7.984 -6.333 8.126
W 4.338 -3.247 1.563
O 2.912 -8.062 5.575
O 7.126 -10.253 11.637
O 6.923 -5.562 6.931
O 2.709 -3.371 0.869
O 3.417 -6.888 9.281
O -2.521 -7.420 4.744
O 6.418 -6.736 3.225
O 12.356 -6.204 7.762
O 0.197 -7.541 3.057
O 4.255 -9.977 9.257
O 9.638 -6.083 9.449
O 5.580 -3.647 3.249
O 0.178 -8.415 4.220
O 5.371 -9.059 9.416
O 9.657 -5.209 8.286
O 4.464 -4.565 3.090
O 1.969 -5.348 4.633
O 9.547 -2.228 7.721
O 7.866 -8.276 7.873
O 0.288 -11.396 4.785
O 0.849 -5.939 5.447
O 4.407 -9.165 12.089
O 8.986 -7.685 7.059
O 5.428 -4.459 0.417
O 2.662 -8.581 2.948
O 6.289 -11.698 9.528
O 7.173 -5.043 9.558
O 3.546 -1.927 2.978
O 3.118 -7.154 2.866
O 10.761 -3.930 5.897
O 6.717 -6.471 9.640
O -0.926 -9.694 6.609
O 0.579 -8.989 9.601
O -2.346 -4.765 2.400
O 9.256 -4.635 2.905
O 12.182 -8.859 10.106
O 5.148 -10.456 6.010
O 10.264 -11.223 11.275
O 4.687 -3.168 6.496
O -0.428 -2.401 1.231
O 3.992 -10.777 5.649
O 9.736 -10.551 10.359
O 5.843 -2.848 6.857
O 0.099 -3.073 2.147
O 3.838 -6.294 8.290
O -3.147 -8.477 4.677
O 5.998 -7.330 4.216
O 12.982 -5.147 7.829
```